Record 1
Density functional theory data (PBE) for an optimized crystal structure of KCOF3.

CIF file:
```
data_KCOF3
_cell_length_a 5.602
_cell_length_b 7.396
_cell_length_c 8.671
_cell_angle_alpha 90.00
_cell_angle_beta 90.14
_cell_angle_gamma 90.00
_symmetry_space_group_name_H-M 'P 1 21/c 1'
_symmetry_Int_Tables_number 14
_symmetry_space_group_name_Hall '-P 2ybc'
loop_
_atom_site_label
_atom_site_fract_x
_atom_site_fract_y
_atom_site_fract_z
_atom_site_occupancy
K1 0.246 0.158 0.179 1
C1 0.227 0.703 0.067 1
O1 0.050 0.701 0.582 1
F1 0.258 0.558 0.176 1
F2 0.258 0.613 0.923 1
F3 0.459 0.704 0.582 1
```

Its total magnetic moment is 0.0 Bohr magnetons per cell. As for the calculated total energy: -5.477 eV/atom.

Record 2
Density functional theory data (PBE) for an optimized crystal structure of KRb2CO3F.

CIF file:
```
data_KRb2CO3F
_cell_length_a 12.416
_cell_length_b 7.779
_cell_length_c 7.252
_cell_angle_alpha 90.00
_cell_angle_beta 120.56
_cell_angle_gamma 90.00
_symmetry_space_group_name_H-M 'C 1 2 1'
_symmetry_Int_Tables_number 5
_symmetry_space_group_name_Hall 'C 2y'
loop_
_atom_site_label
_atom_site_fract_x
_atom_site_fract_y
_atom_site_fract_z
_atom_site_occupancy
K1 0.215 0.000 0.430 1
Rb1 0.000 0.282 0.500 1
Rb2 0.000 0.648 0.000 1
Rb3 0.216 0.932 0.933 1
C1 0.000 0.213 0.000 1
C2 0.000 0.715 0.500 1
O1 0.000 0.045 0.000 1
O2 0.000 0.883 0.500 1
O3 0.084 0.297 0.168 1
O4 0.086 0.631 0.667 1
F1 0.249 0.716 0.261 1
```

Its total magnetic moment is 0.0 Bohr magnetons per cell. As for the calculated total energy: -5.598 eV/atom.

Record 3
Density functional theory data (PBE) for an optimized crystal structure of K2CS2O6F2.

CIF file:
```
data_K2CS2O6F2
_cell_length_a 10.096
_cell_length_b 6.153
_cell_length_c 14.802
_cell_angle_alpha 90.00
_cell_angle_beta 110.01
_cell_angle_gamma 90.00
_symmetry_space_group_name_H-M 'P 1 21/c 1'
_symmetry_Int_Tables_number 14
_symmetry_space_group_name_Hall '-P 2ybc'
loop_
_atom_site_label
_atom_site_fract_x
_atom_site_fract_y
_atom_site_fract_z
_atom_site_occupancy
K1 0.040 0.224 0.335 1
K2 0.278 0.231 0.654 1
C1 0.308 0.700 0.948 1
S1 0.146 0.712 0.473 1
S2 0.301 0.741 0.821 1
O1 0.029 0.731 0.885 1
O2 0.150 0.660 0.057 1
O3 0.164 0.022 0.990 1
O4 0.213 0.559 0.769 1
O5 0.234 0.546 0.293 1
O6 0.447 0.731 0.825 1
F1 0.326 0.020 0.467 1
F2 0.422 0.696 0.510 1
```

Its total magnetic moment is 0.0 Bohr magnetons per cell. As for the calculated total energy: -5.655 eV/atom.

Record 4
Density functional theory data (PBE) for an optimized crystal structure of KCSO3F3.

CIF file:
```
data_KCSO3F3
_cell_length_a 10.984
_cell_length_b 6.075
_cell_length_c 14.742
_cell_angle_alpha 90.00
_cell_angle_beta 111.16
_cell_angle_gamma 90.00
_symmetry_space_group_name_H-M 'P 1 21 1'
_symmetry_Int_Tables_number 4
_symmetry_space_group_name_Hall 'P 2yb'
loop_
_atom_site_label
_atom_site_fract_x
_atom_site_fract_y
_atom_site_fract_z
_atom_site_occupancy
K1 0.032 0.000 0.158 1
K2 0.065 0.997 0.664 1
K3 0.309 0.993 0.986 1
C1 0.320 0.508 0.718 1
C2 0.325 0.537 0.195 1
C3 0.332 0.959 0.466 1
S1 0.150 0.984 0.416 1
S2 0.160 0.499 0.099 1
S3 0.290 0.496 0.835 1
O1 0.071 0.490 0.152 1
O2 0.108 0.808 0.343 1
O3 0.113 0.949 0.500 1
O4 0.125 0.204 0.373 1
O5 0.147 0.696 0.039 1
O6 0.171 0.292 0.051 1
O7 0.210 0.692 0.830 1
O8 0.219 0.288 0.828 1
O9 0.420 0.501 0.911 1
F1 0.205 0.484 0.642 1
F2 0.336 0.745 0.230 1
F3 0.348 0.393 0.268 1
F4 0.367 0.752 0.499 1
F5 0.373 0.704 0.710 1
F6 0.382 0.005 0.396 1
F7 0.384 0.101 0.541 1
F8 0.401 0.345 0.714 1
F9 0.419 0.510 0.155 1
```

Its total magnetic moment is 0.0 Bohr magnetons per cell. As for the calculated total energy: -5.515 eV/atom.

Record 5
Density functional theory data (PBE) for an optimized crystal structure of KSrCO3F.

CIF file:
```
data_KSrCO3F
_cell_length_a 5.3143
_cell_length_b 5.3143
_cell_length_c 4.7664
_cell_angle_alpha 90.00
_cell_angle_beta 90.00
_cell_angle_gamma 120.00
_symmetry_space_group_name_H-M 'P -6 m 2'
_symmetry_Int_Tables_number 187
_symmetry_space_group_name_Hall 'P -6 2'
loop_
_atom_site_label
_atom_site_fract_x
_atom_site_fract_y
_atom_site_fract_z
_atom_site_occupancy
K1 0.0000 0.0000 0.0000 1
Sr1 0.6667 0.3333 0.5000 1
C1 0.3333 0.6667 0.5000 1
O1 0.1917 0.3834 0.5000 1
F1 0.6667 0.3333 0.0000 1
```

The calculation puts the largest piezoelectric modulus at 0.501 C/m². Its total magnetic moment is 0.0 Bohr magnetons per cell. As for the calculated total energy: -6.537 eV/atom.

Record 6
Density functional theory data (PBE) for an optimized crystal structure of LaCN2F.

CIF file:
```
data_LaCN2F
_cell_length_a 3.898
_cell_length_b 8.776
_cell_length_c 7.866
_cell_angle_alpha 90.00
_cell_angle_beta 90.00
_cell_angle_gamma 90.00
_symmetry_space_group_name_H-M 'C m c m'
_symmetry_Int_Tables_number 63
_symmetry_space_group_name_Hall '-C 2c 2'
loop_
_atom_site_label
_atom_site_fract_x
_atom_site_fract_y
_atom_site_fract_z
_atom_site_occupancy
La1 0.000 0.222 0.250 1
C1 0.000 0.500 0.000 1
N1 0.000 0.368 0.553 1
F1 0.000 0.081 0.750 1
```

Its total magnetic moment is 0.0 Bohr magnetons per cell. As for the calculated total energy: -8.236 eV/atom.

Record 7
Density functional theory data (PBE) for an optimized crystal structure of Sr3LaC2N4F5.

CIF file:
```
data_Sr3LaC2N4F5
_cell_length_a 6.628
_cell_length_b 11.545
_cell_length_c 6.676
_cell_angle_alpha 90.00
_cell_angle_beta 119.59
_cell_angle_gamma 90.00
_symmetry_space_group_name_H-M 'C 1 m 1'
_symmetry_Int_Tables_number 8
_symmetry_space_group_name_Hall 'C -2y'
loop_
_atom_site_label
_atom_site_fract_x
_atom_site_fract_y
_atom_site_fract_z
_atom_site_occupancy
Sr1 0.000 0.000 0.000 1
Sr2 0.328 0.163 0.673 1
La1 0.170 0.500 0.352 1
C1 0.335 0.249 0.174 1
N1 0.256 0.327 0.029 1
N2 0.414 0.171 0.322 1
F1 0.071 0.000 0.403 1
F2 0.085 0.500 0.665 1
F3 0.358 0.000 0.952 1
F4 0.444 0.368 0.667 1
```

Its total magnetic moment is 0.0 Bohr magnetons per cell. As for the calculated total energy: -7.098 eV/atom.

Record 8
Density functional theory data (PBE) for an optimized crystal structure of LiC2S2NO4F6.

CIF file:
```
data_LiC2S2NO4F6
_cell_length_a 5.529
_cell_length_b 16.595
_cell_length_c 9.825
_cell_angle_alpha 90.00
_cell_angle_beta 90.00
_cell_angle_gamma 90.00
_symmetry_space_group_name_H-M 'P c c n'
_symmetry_Int_Tables_number 56
_symmetry_space_group_name_Hall '-P 2ab 2ac'
loop_
_atom_site_label
_atom_site_fract_x
_atom_site_fract_y
_atom_site_fract_z
_atom_site_occupancy
Li1 0.250 0.250 0.155 1
C1 0.250 0.592 0.094 1
S1 0.070 0.688 0.082 1
N1 0.250 0.750 0.014 1
O1 0.003 0.204 0.279 1
O2 0.118 0.170 0.517 1
F1 0.057 0.603 0.676 1
F2 0.109 0.534 0.146 1
F3 0.172 0.570 0.469 1
```

Its total magnetic moment is 0.0 Bohr magnetons per cell. As for the calculated total energy: -5.562 eV/atom.

Record 9
Density functional theory data (PBE) for an optimized crystal structure of LiC2S2NO5F6.

CIF file:
```
data_LiC2S2NO5F6
_cell_length_a 9.549
_cell_length_b 11.599
_cell_length_c 18.495
_cell_angle_alpha 100.38
_cell_angle_beta 90.08
_cell_angle_gamma 99.87
_symmetry_space_group_name_H-M 'P -1'
_symmetry_Int_Tables_number 2
_symmetry_space_group_name_Hall '-P 1'
loop_
_atom_site_label
_atom_site_fract_x
_atom_site_fract_y
_atom_site_fract_z
_atom_site_occupancy
Li1 0.000 0.000 0.000 1
Li2 0.000 0.000 0.500 1
Li3 0.039 0.008 0.299 1
Li4 0.461 0.990 0.799 1
Li5 0.500 0.000 0.000 1
Li6 0.500 0.000 0.500 1
C1 0.069 0.667 0.741 1
C2 0.158 0.692 0.517 1
C3 0.185 0.689 0.211 1
C4 0.204 0.650 0.972 1
C5 0.303 0.349 0.553 1
C6 0.317 0.307 0.782 1
C7 0.337 0.307 0.084 1
C8 0.428 0.333 0.316 1
S1 0.169 0.818 0.735 1
S2 0.195 0.839 0.582 1
S3 0.202 0.808 0.018 1
S4 0.226 0.831 0.173 1
S5 0.274 0.166 0.712 1
S6 0.299 0.190 0.563 1
S7 0.304 0.161 0.117 1
S8 0.329 0.182 0.274 1
N1 0.142 0.795 0.096 1
N2 0.230 0.798 0.655 1
N3 0.268 0.202 0.199 1
N4 0.359 0.200 0.643 1
O1 0.064 0.896 0.747 1
O2 0.067 0.892 0.580 1
O3 0.097 0.849 0.977 1
O4 0.121 0.141 0.703 1
O5 0.151 0.134 0.547 1
O6 0.156 0.913 0.223 1
O7 0.179 0.094 0.074 1
O8 0.181 0.956 0.398 1
O9 0.196 0.067 0.913 1
O10 0.215 0.159 0.323 1
O11 0.283 0.840 0.789 1
O12 0.301 0.931 0.399 1
O13 0.317 0.046 0.909 1
O14 0.322 0.903 0.554 1
O15 0.341 0.082 0.744 1
O16 0.349 0.867 0.016 1
O17 0.379 0.859 0.170 1
O18 0.404 0.148 0.512 1
O19 0.434 0.111 0.104 1
O20 0.435 0.105 0.269 1
F1 0.017 0.669 0.809 1
F2 0.041 0.365 0.308 1
F3 0.043 0.654 0.212 1
F4 0.054 0.618 0.542 1
F5 0.071 0.588 0.964 1
F6 0.117 0.711 0.450 1
F7 0.156 0.586 0.728 1
F8 0.215 0.351 0.083 1
F9 0.220 0.399 0.604 1
F10 0.240 0.713 0.281 1
F11 0.243 0.602 0.171 1
F12 0.253 0.353 0.486 1
F13 0.260 0.285 0.846 1
F14 0.261 0.395 0.762 1
F15 0.262 0.650 0.905 1
F16 0.276 0.643 0.509 1
F17 0.284 0.600 0.013 1
F18 0.340 0.414 0.324 1
F19 0.383 0.288 0.014 1
F20 0.435 0.387 0.127 1
F21 0.438 0.408 0.564 1
F22 0.459 0.341 0.792 1
F23 0.465 0.633 0.727 1
F24 0.483 0.328 0.382 1
```

Its total magnetic moment is 8.0 Bohr magnetons per cell. As for the calculated total energy: -5.502 eV/atom.